{
  "formula": "LiSm3BiRu4O14",
  "functional": "PBE-GGA",
  "state": "optimized geometry",
  "energy_ev_per_cell": -168.2,
  "formation_enthalpy_0k_ev_per_atom": -2.239,
  "de_polymorph_mev_per_atom": 15,
  "lattice_angstrom": [[5.234, 5.182, -0.566], [-3.545, -2.362, -6.051], [-1.870, 6.978, -1.629]],
  "species": ["Li", "Sm", "Sm", "Sm", "Bi", "Ru", "Ru", "Ru", "Ru", "O", "O", "O", "O", "O", "O", "O", "O", "O", "O", "O", "O", "O", "O"],
  "fractional_positions": [[0.275, 0.638, 0.638], [0.248, 0.368, 0.353], [0.248, 0.881, 0.352], [0.738, 0.369, 0.386], [0.726, 0.364, 0.879], [0.758, 0.879, 0.365], [0.243, 0.876, 0.879], [0.243, 0.367, 0.879], [0.756, 0.878, 0.874], [0.501, 0.251, 0.253], [0.014, 0.507, 0.500], [0.923, 0.962, 0.535], [0.490, 0.538, 0.538], [0.491, 0.953, 0.538], [0.099, 0.550, 0.949], [0.502, 0.963, 0.955], [0.502, 0.539, 0.956], [0.586, 0.793, 0.205], [0.996, 0.209, 0.209], [0.996, 0.788, 0.209], [0.415, 0.208, 0.793], [0.995, 0.799, 0.807], [0.995, 0.196, 0.808]]
}